VASP calculation (PBE) on a relaxed BS2 crystal.

Results
MP2020-corrected energy = -5.7137 eV per atom
Mass density = 1.56 g/cm3
Energy above the lowest structure with this stoichiometry = 0.0 meV per atom

a = 12.4586 Å, b = 4.9229 Å, c = 21.9156 Å
α = 90.00°, β = 107.87°, γ = 90.00°
Fractional coordinates of all 48 atoms:
B  0.0856  0.1384  0.3695
B  0.0856  0.3616  0.8695
B  0.1669  0.6684  0.1558
B  0.1669  0.8316  0.6558
B  0.2710  0.1856  0.9666
B  0.2710  0.3144  0.4666
B  0.3064  0.6106  0.5925
B  0.3064  0.8894  0.0925
B  0.6936  0.1106  0.9075
B  0.6936  0.3894  0.4075
B  0.7290  0.6856  0.5334
B  0.7290  0.8144  0.0334
B  0.8331  0.1684  0.3442
B  0.8331  0.3316  0.8442
B  0.9144  0.6384  0.1305
B  0.9144  0.8616  0.6305
S  0.0528  0.5475  0.1845
S  0.0528  0.9525  0.6845
S  0.1188  0.1893  0.9460
S  0.1188  0.3107  0.4460
S  0.1576  0.6548  0.5819
S  0.1576  0.8452  0.0819
S  0.1983  0.0339  0.3392
S  0.1983  0.4661  0.8392
S  0.3038  0.5928  0.2114
S  0.3038  0.9072  0.7114
S  0.3376  0.1673  0.4120
S  0.3376  0.3327  0.9120
S  0.3731  0.0526  0.0389
S  0.3731  0.4474  0.5389
S  0.4086  0.7408  0.6640
S  0.4086  0.7592  0.1640
S  0.5914  0.2408  0.8360
S  0.5914  0.2592  0.3360
S  0.6269  0.5526  0.4611
S  0.6269  0.9474  0.9611
S  0.6624  0.6673  0.0880
S  0.6624  0.8327  0.5880
S  0.6962  0.0928  0.2886
S  0.6962  0.4072  0.7886
S  0.8017  0.5339  0.1608
S  0.8017  0.9661  0.6608
S  0.8424  0.1548  0.9181
S  0.8424  0.3452  0.4181
S  0.8812  0.6893  0.5540
S  0.8812  0.8107  0.0540
S  0.9472  0.0475  0.3155
S  0.9472  0.4525  0.8155